No. 1
K2Se4N | GGA-PBE | relaxed

a b c (Å): 10.013 7.660 11.264
angles (deg): 90.00 92.43 90.00
Space group Cc (No. 9)
Inequivalent atoms, fractional coordinates:
K1 0.000 0.180 0.000 [4 per cell]
K2 0.120 0.309 0.648 [4 per cell]
Se1 0.025 0.240 0.310 [4 per cell]
Se2 0.314 0.057 0.048 [4 per cell]
Se3 0.368 0.034 0.845 [4 per cell]
Se4 0.397 0.494 0.247 [4 per cell]
N1 0.226 0.442 0.969 [4 per cell]

Properties
calculated volume	863.2	Å³ per cell
VASP energy	-3.3765	eV/atom
size of the total moment	3.0	μB per formula unit
energy with MP2020 corrections	-95.99	eV/cell
energy of formation	0.078	eV per atom

No. 2
K3Si3N5 | GGA-PBE | relaxed

a b c (Å): 5.582 7.220 8.234
angles (deg): 105.77 94.69 100.91
Space group P-1 (No. 2)
Inequivalent atoms, fractional coordinates:
K1 0.129 0.325 0.410 [2 per cell]
K2 0.148 0.120 0.744 [2 per cell]
K3 0.333 0.928 0.115 [2 per cell]
Si1 0.187 0.475 0.094 [2 per cell]
Si2 0.424 0.594 0.783 [2 per cell]
Si3 0.433 0.823 0.483 [2 per cell]
N1 0.146 0.541 0.896 [2 per cell]
N2 0.281 0.002 0.445 [2 per cell]
N3 0.317 0.274 0.070 [2 per cell]
N4 0.349 0.700 0.632 [2 per cell]
N5 0.418 0.623 0.278 [2 per cell]

Properties
calculated volume	310.5	Å³ per cell
VASP energy	-6.2206	eV/atom
size of the total moment	0.0	μB per formula unit
energy with MP2020 corrections	-140.46	eV/cell
energy of formation	-0.813	eV per atom

No. 3
KSnN | GGA-PBE | relaxed

a b c (Å): 3.4622 3.4622 12.2397
angles (deg): 90.00 90.00 120.00
Space group P6_3mc (No. 186)
Inequivalent atoms, fractional coordinates:
K1 0.3333 0.6667 0.0000 [2 per cell]
Sn1 0.0000 0.0000 0.2566 [2 per cell]
N1 0.3333 0.6667 0.3429 [2 per cell]

Properties
calculated volume	127.1	Å³ per cell
VASP energy	-4.5009	eV/atom
size of the total moment	0.0	μB per formula unit
energy with MP2020 corrections	-27.73	eV/cell
energy of formation	-0.136	eV per atom

No. 4
KSnN3 | GGA-PBE | relaxed

a b c (Å): 6.7820 6.7820 7.8313
angles (deg): 90.00 90.00 120.00
Space group P-3 (No. 147)
Inequivalent atoms, fractional coordinates:
K1 0.3333 0.6667 0.3944 [2 per cell]
Sn1 0.3333 0.6667 0.8805 [2 per cell]
N1 0.0830 0.3943 0.7265 [6 per cell]

Properties
calculated volume	311.9	Å³ per cell
VASP energy	-4.1153	eV/atom
size of the total moment	6.0	μB per formula unit
energy with MP2020 corrections	-43.32	eV/cell
energy of formation	1.694	eV per atom

No. 5
KSnN | GGA-PBE | relaxed

a b c (Å): 7.008 7.654 3.338
angles (deg): 90.00 104.57 90.00
Space group Cm (No. 8)
Inequivalent atoms, fractional coordinates:
K1 0.000 0.000 0.000 [2 per cell]
Sn1 0.494 0.000 0.723 [2 per cell]
N1 0.182 0.500 0.322 [2 per cell]

Properties
calculated volume	173.3	Å³ per cell
VASP energy	-4.3246	eV/atom
size of the total moment	0.0	μB per formula unit
energy with MP2020 corrections	-26.67	eV/cell
energy of formation	0.041	eV per atom

No. 6
K2SnN2 | GGA-PBE | relaxed

a b c (Å): 3.4605 3.4605 10.6610
angles (deg): 90.00 90.00 120.00
Space group P-3m1 (No. 164)
Inequivalent atoms, fractional coordinates:
K1 0.3333 0.6667 0.2286 [2 per cell]
Sn1 0.0000 0.0000 0.5000 [1 per cell]
N1 0.3333 0.6667 0.6084 [2 per cell]

Properties
calculated volume	110.6	Å³ per cell
VASP energy	-4.2599	eV/atom
size of the total moment	0.3	μB per formula unit
energy with MP2020 corrections	-22.02	eV/cell
energy of formation	0.176	eV per atom

No. 7
K2TiN2 | GGA-PBE | relaxed

a b c (Å): 3.2118 3.2118 10.4514
angles (deg): 90.00 90.00 120.00
Space group P-3m1 (No. 164)
Inequivalent atoms, fractional coordinates:
K1 0.3333 0.6667 0.2207 [2 per cell]
Ti1 0.0000 0.0000 0.5000 [1 per cell]
N1 0.3333 0.6667 0.6012 [2 per cell]

Properties
calculated volume	93.4	Å³ per cell
VASP energy	-5.7085	eV/atom
size of the total moment	0.0	μB per formula unit
energy with MP2020 corrections	-29.26	eV/cell
energy of formation	-0.495	eV per atom

No. 8
KVN2 | GGA-PBE | relaxed

a b c (Å): 5.715 11.491 16.023
angles (deg): 90.00 90.00 90.00
Space group Pbca (No. 61)
Inequivalent atoms, fractional coordinates:
K1 0.190 0.242 0.188 [8 per cell]
K2 0.245 0.501 0.563 [8 per cell]
V1 0.212 0.239 0.438 [8 per cell]
V2 0.239 0.508 0.813 [8 per cell]
N1 0.054 0.511 0.228 [8 per cell]
N2 0.086 0.730 0.023 [8 per cell]
N3 0.208 0.600 0.393 [8 per cell]
N4 0.231 0.151 0.858 [8 per cell]

Properties
calculated volume	1052.3	Å³ per cell
VASP energy	-7.4647	eV/atom
size of the total moment	0.0	μB per formula unit
energy with MP2020 corrections	-489.29	eV/cell
energy of formation	-0.928	eV per atom

No. 9
K6WN4 | GGA-PBE | relaxed

a b c (Å): 8.235 8.235 6.768
angles (deg): 90.00 90.00 90.00
Space group P4_2/nmc (No. 137, origin choice 2)
Inequivalent atoms, fractional coordinates:
K1 0.047 0.547 0.250 [8 per cell]
K2 0.250 0.250 0.071 [4 per cell]
W1 0.250 0.750 0.750 [2 per cell]
N1 0.053 0.750 0.596 [8 per cell]

Properties
calculated volume	459.0	Å³ per cell
VASP energy	-4.9126	eV/atom
size of the total moment	0.0	μB per formula unit
energy with MP2020 corrections	-110.96	eV/cell
energy of formation	-0.229	eV per atom

No. 10
K14W6N17 | GGA-PBE | relaxed

a b c (Å): 9.827 12.626 24.284
angles (deg): 90.00 90.00 90.00
Space group Pbcm (No. 57)
Inequivalent atoms, fractional coordinates:
K1 0.044 0.082 0.172 [8 per cell]
K2 0.082 0.105 0.030 [8 per cell]
K3 0.247 0.632 0.022 [8 per cell]
K4 0.260 0.220 0.750 [4 per cell]
K5 0.280 0.640 0.628 [8 per cell]
K6 0.306 0.542 0.168 [8 per cell]
K7 0.418 0.109 0.544 [8 per cell]
K8 0.424 0.737 0.250 [4 per cell]
W1 0.084 0.160 0.609 [8 per cell]
W2 0.084 0.682 0.750 [4 per cell]
W3 0.381 0.142 0.109 [8 per cell]
W4 0.388 0.007 0.250 [4 per cell]
N1 0.022 0.154 0.686 [8 per cell]
N2 0.056 0.707 0.566 [8 per cell]
N3 0.133 0.027 0.584 [8 per cell]
N4 0.144 0.681 0.250 [4 per cell]
N5 0.234 0.243 0.101 [8 per cell]
N6 0.239 0.591 0.750 [4 per cell]
N7 0.348 0.031 0.063 [8 per cell]
N8 0.384 0.094 0.186 [8 per cell]
N9 0.455 0.703 0.092 [8 per cell]
N10 0.456 0.068 0.750 [4 per cell]

Properties
calculated volume	3013.0	Å³ per cell
VASP energy	-6.7918	eV/atom
size of the total moment	0.9	μB per formula unit
energy with MP2020 corrections	-1029.73	eV/cell
energy of formation	-0.606	eV per atom

No. 11
K3YN2 | GGA-PBE | relaxed

a b c (Å): 12.798 12.798 12.798
angles (deg): 90.00 90.00 90.00
Space group Ia-3 (No. 206)
Inequivalent atoms, fractional coordinates:
K1 0.090 0.164 0.359 [48 per cell]
Y1 0.104 0.104 0.104 [16 per cell]
N1 0.000 0.000 0.000 [8 per cell]
N2 0.000 0.250 0.165 [24 per cell]

Properties
calculated volume	2096.3	Å³ per cell
VASP energy	-4.5166	eV/atom
size of the total moment	0.0	μB per formula unit
energy with MP2020 corrections	-445.15	eV/cell
energy of formation	-0.225	eV per atom